(1)
{"formula": "SmB4", "functional": "PBE", "state": "relaxed", "lattice": [[7.187, 0.000, 0.000], [0.000, 7.187, 0.000], [0.000, 0.000, 4.082]], "species": ["Sm", "Sm", "Sm", "Sm", "B", "B", "B", "B", "B", "B", "B", "B", "B", "B", "B", "B", "B", "B", "B", "B"], "frac_coords": [[0.183, 0.317, 0.000], [0.317, 0.817, 0.000], [0.683, 0.183, 0.000], [0.817, 0.683, 0.000], [0.000, 0.000, 0.204], [0.000, 0.000, 0.796], [0.039, 0.825, 0.500], [0.088, 0.588, 0.500], [0.175, 0.039, 0.500], [0.325, 0.539, 0.500], [0.412, 0.088, 0.500], [0.461, 0.325, 0.500], [0.500, 0.500, 0.204], [0.500, 0.500, 0.796], [0.539, 0.675, 0.500], [0.588, 0.912, 0.500], [0.675, 0.461, 0.500], [0.825, 0.961, 0.500], [0.912, 0.412, 0.500], [0.961, 0.175, 0.500]], "dft_energy_ev_per_atom": -6.871, "delta_e_f_ev_per_fu": -2.9}

(2)
{"formula": "SmB12", "functional": "PBE", "state": "relaxed", "lattice": [[0.000, 3.772, 3.772], [3.772, 0.000, 3.772], [3.772, 3.772, 0.000]], "species": ["Sm", "B", "B", "B", "B", "B", "B", "B", "B", "B", "B", "B", "B"], "frac_coords": [[0.000, 0.000, 0.000], [0.163, 0.500, 0.500], [0.163, 0.500, 0.837], [0.163, 0.837, 0.500], [0.500, 0.163, 0.500], [0.500, 0.163, 0.837], [0.500, 0.500, 0.163], [0.500, 0.500, 0.837], [0.500, 0.837, 0.163], [0.500, 0.837, 0.500], [0.837, 0.163, 0.500], [0.837, 0.500, 0.163], [0.837, 0.500, 0.500]], "dft_energy_ev_per_atom": -6.756, "delta_e_f_ev_per_fu": -3.0}

(3)
{"formula": "SmB2", "functional": "PBE", "state": "relaxed", "lattice": [[3.334, 0.000, 0.000], [-1.667, 2.887, 0.000], [0.000, 0.000, 4.031]], "species": ["Sm", "B", "B"], "frac_coords": [[0.000, 0.000, 0.000], [0.333, 0.667, 0.500], [0.667, 0.333, 0.500]], "magmom_total_mub_per_fu": 0.00, "dft_energy_ev_per_atom": -6.416, "delta_e_f_ev_per_fu": -1.2}